No. 1
! Na10Nb7InSi12O48 GGA-PBE optimized geometry; values from VASP
! Space group: P1, No. 1
! Crystal system: triclinic
! Electronic total energy: -1757.9 eV per cell
! Energy of formation: -229.7 eV/f.u.
! Density: 3.22 g/cm³
&SYSTEM
  ibrav = 0, nat = 234, ntyp = 5
/
ATOMIC_SPECIES
Na 22.99 Na.upf
Nb 92.91 Nb.upf
In 114.82 In.upf
Si 28.09 Si.upf
O 16.00 O.upf
CELL_PARAMETERS angstrom
9.081 0.000 0.000
0.005 15.713 0.000
0.002 0.001 22.759
ATOMIC_POSITIONS crystal
Na 0.000 0.000 0.000
Na 0.000 0.329 0.335
Na 0.004 0.964 0.337
Na 0.012 0.629 0.000
Na 0.130 0.128 0.500
Na 0.137 0.465 0.836
Na 0.139 0.497 0.501
Na 0.182 0.146 0.835
Na 0.317 0.975 0.917
Na 0.321 0.645 0.087
Na 0.321 0.646 0.584
Na 0.323 0.972 0.418
Na 0.325 0.316 0.250
Na 0.328 0.312 0.749
Na 0.451 0.808 0.999
Na 0.460 0.144 0.336
Na 0.500 0.500 0.000
Na 0.505 0.796 0.669
Na 0.513 0.129 0.000
Na 0.638 0.966 0.835
Na 0.642 0.999 0.499
Na 0.683 0.645 0.836
Na 0.693 0.309 0.500
Na 0.813 0.485 0.416
Na 0.817 0.809 0.251
Na 0.818 0.475 0.918
Na 0.821 0.146 0.086
Na 0.822 0.145 0.585
Na 0.834 0.813 0.750
Na 0.951 0.308 0.999
Nb 0.317 0.643 0.731
Nb 0.318 0.978 0.770
Nb 0.319 0.977 0.565
Nb 0.320 0.312 0.109
Nb 0.321 0.312 0.608
Nb 0.321 0.645 0.230
Nb 0.321 0.979 0.068
Nb 0.324 0.316 0.397
Nb 0.324 0.649 0.438
Nb 0.324 0.975 0.271
Nb 0.325 0.312 0.898
Nb 0.818 0.483 0.272
Nb 0.819 0.476 0.770
Nb 0.819 0.482 0.565
Nb 0.819 0.809 0.397
Nb 0.821 0.146 0.230
Nb 0.821 0.147 0.730
Nb 0.821 0.479 0.068
Nb 0.821 0.812 0.109
Nb 0.825 0.811 0.606
Nb 0.825 0.813 0.898
In 0.321 0.646 0.936
In 0.821 0.145 0.436
In 0.821 0.146 0.935
Si 0.029 0.646 0.836
Si 0.030 0.979 0.169
Si 0.032 0.313 0.503
Si 0.110 0.813 0.004
Si 0.111 0.479 0.668
Si 0.113 0.145 0.335
Si 0.173 0.833 0.668
Si 0.176 0.124 0.668
Si 0.176 0.456 0.003
Si 0.176 0.504 0.336
Si 0.176 0.789 0.334
Si 0.178 0.168 0.003
Si 0.464 0.168 0.502
Si 0.464 0.792 0.835
Si 0.466 0.458 0.503
Si 0.467 0.124 0.169
Si 0.467 0.832 0.168
Si 0.469 0.499 0.836
Si 0.530 0.480 0.169
Si 0.531 0.146 0.835
Si 0.533 0.811 0.503
Si 0.608 0.645 0.334
Si 0.610 0.313 0.004
Si 0.613 0.981 0.668
Si 0.675 0.624 0.669
Si 0.675 0.999 0.335
Si 0.676 0.956 0.003
Si 0.677 0.293 0.335
Si 0.677 0.333 0.667
Si 0.678 0.668 0.003
Si 0.964 0.292 0.836
Si 0.965 0.334 0.170
Si 0.967 0.668 0.502
Si 0.967 0.955 0.501
Si 0.968 0.000 0.835
Si 0.969 0.625 0.169
O 0.000 0.163 0.280
O 0.000 0.829 0.945
O 0.001 0.158 0.001
O 0.005 0.493 0.610
O 0.007 0.467 0.726
O 0.026 0.121 0.395
O 0.117 0.621 0.895
O 0.136 0.965 0.227
O 0.138 0.329 0.444
O 0.138 0.993 0.111
O 0.142 0.660 0.779
O 0.144 0.325 0.161
O 0.145 0.301 0.558
O 0.145 0.654 0.496
O 0.146 0.632 0.175
O 0.147 0.301 0.840
O 0.147 0.966 0.509
O 0.147 0.990 0.825
O 0.204 0.396 0.943
O 0.208 0.560 0.395
O 0.210 0.063 0.610
O 0.210 0.729 0.278
O 0.210 0.894 0.725
O 0.210 0.901 0.008
O 0.212 0.729 0.000
O 0.214 0.565 0.675
O 0.215 0.230 0.058
O 0.215 0.395 0.662
O 0.216 0.232 0.340
O 0.222 0.062 0.326
O 0.246 0.886 0.329
O 0.247 0.406 0.343
O 0.250 0.078 0.726
O 0.250 0.549 0.000
O 0.251 0.743 0.392
O 0.252 0.218 0.661
O 0.252 0.407 0.058
O 0.252 0.549 0.279
O 0.254 0.212 0.944
O 0.254 0.880 0.612
O 0.258 0.742 0.676
O 0.259 0.074 0.008
O 0.384 0.407 0.840
O 0.385 0.074 0.508
O 0.386 0.550 0.495
O 0.387 0.213 0.444
O 0.387 0.548 0.780
O 0.388 0.411 0.559
O 0.389 0.739 0.175
O 0.390 0.217 0.162
O 0.393 0.077 0.226
O 0.393 0.880 0.110
O 0.396 0.759 0.896
O 0.402 0.890 0.826
O 0.420 0.230 0.841
O 0.421 0.063 0.825
O 0.427 0.727 0.495
O 0.428 0.231 0.558
O 0.429 0.394 0.162
O 0.429 0.564 0.175
O 0.431 0.895 0.224
O 0.433 0.064 0.111
O 0.435 0.899 0.509
O 0.437 0.395 0.446
O 0.437 0.729 0.778
O 0.460 0.555 0.895
O 0.494 0.963 0.008
O 0.495 0.298 0.341
O 0.496 0.636 0.675
O 0.496 0.990 0.325
O 0.498 0.300 0.059
O 0.498 0.325 0.661
O 0.500 0.329 0.945
O 0.501 0.632 0.392
O 0.501 0.658 0.001
O 0.501 0.660 0.278
O 0.505 0.963 0.725
O 0.505 0.992 0.610
O 0.616 0.121 0.895
O 0.635 0.798 0.562
O 0.637 0.493 0.110
O 0.641 0.159 0.501
O 0.642 0.160 0.779
O 0.642 0.466 0.225
O 0.643 0.829 0.446
O 0.645 0.132 0.176
O 0.645 0.825 0.161
O 0.647 0.463 0.508
O 0.647 0.490 0.825
O 0.647 0.801 0.840
O 0.681 0.055 0.395
O 0.703 0.896 0.943
O 0.705 0.227 0.280
O 0.709 0.892 0.661
O 0.710 0.401 0.008
O 0.711 0.563 0.612
O 0.712 0.229 0.000
O 0.712 0.395 0.724
O 0.713 0.730 0.343
O 0.714 0.561 0.328
O 0.715 0.730 0.058
O 0.716 0.065 0.675
O 0.746 0.720 0.663
O 0.748 0.579 0.727
O 0.750 0.049 0.000
O 0.750 0.380 0.609
O 0.752 0.386 0.325
O 0.752 0.907 0.058
O 0.754 0.240 0.676
O 0.754 0.260 0.395
O 0.754 0.712 0.943
O 0.757 0.048 0.280
O 0.758 0.906 0.340
O 0.759 0.574 0.008
O 0.885 0.907 0.841
O 0.886 0.047 0.780
O 0.889 0.240 0.176
O 0.890 0.717 0.161
O 0.890 0.905 0.558
O 0.891 0.715 0.445
O 0.892 0.048 0.501
O 0.892 0.381 0.111
O 0.892 0.576 0.225
O 0.894 0.572 0.509
O 0.896 0.260 0.897
O 0.902 0.390 0.826
O 0.921 0.563 0.825
O 0.921 0.730 0.840
O 0.929 0.065 0.176
O 0.929 0.894 0.161
O 0.931 0.229 0.501
O 0.931 0.400 0.508
O 0.931 0.728 0.559
O 0.934 0.394 0.228
O 0.934 0.565 0.110
O 0.935 0.897 0.442
O 0.936 0.227 0.780
O 0.960 0.055 0.895
O 0.994 0.463 0.008
O 0.995 0.824 0.662
O 0.997 0.132 0.676
O 0.998 0.488 0.329
O 0.998 0.803 0.342
O 0.999 0.800 0.059

No. 2
! Na6Nb3InSi6O24 GGA-PBE optimized geometry; values from VASP
! Electronic total energy: -581.8 eV per cell
! Energy of formation: -115.1 eV/f.u.
! Density: 3.33 g/cm³
&SYSTEM
  ibrav = 0, nat = 80, ntyp = 5
/
ATOMIC_SPECIES
O 16.00 O.upf
Si 28.09 Si.upf
Na 22.99 Na.upf
In 114.82 In.upf
Nb 92.91 Nb.upf
CELL_PARAMETERS angstrom
13.150 0.028 -8.829
-0.001 9.121 -0.030
-0.179 -0.031 9.129
ATOMIC_POSITIONS crystal
O 0.935 0.927 0.082
O 0.411 0.638 0.255
O 0.469 0.158 0.425
O 0.861 0.348 0.589
O 0.157 0.435 0.256
O 0.071 0.839 0.728
O 0.969 0.658 0.425
O 0.855 0.640 0.071
O 0.355 0.921 0.260
O 0.580 0.556 0.916
O 0.911 0.138 0.255
O 0.429 0.563 0.566
O 0.571 0.339 0.728
O 0.453 0.836 0.945
O 0.080 0.056 0.916
O 0.929 0.063 0.566
O 0.657 0.935 0.256
O 0.242 0.309 0.761
O 0.749 0.339 0.737
O 0.649 0.880 0.927
O 0.653 0.074 0.726
O 0.081 0.152 0.259
O 0.742 0.809 0.761
O 0.059 0.936 0.431
O 0.953 0.336 0.945
O 0.435 0.427 0.082
O 0.036 0.669 0.061
O 0.538 0.825 0.573
O 0.855 0.421 0.260
O 0.581 0.652 0.259
O 0.644 0.168 0.413
O 0.244 0.686 0.255
O 0.149 0.380 0.927
O 0.850 0.577 0.755
O 0.153 0.574 0.726
O 0.916 0.856 0.760
O 0.768 0.688 0.254
O 0.355 0.140 0.071
O 0.744 0.186 0.255
O 0.268 0.188 0.254
O 0.559 0.436 0.431
O 0.144 0.668 0.413
O 0.350 0.077 0.755
O 0.361 0.848 0.589
O 0.416 0.356 0.760
O 0.249 0.839 0.737
O 0.536 0.169 0.061
O 0.038 0.325 0.573
Si 0.354 0.895 0.760
Si 0.998 0.957 0.746
Si 0.854 0.395 0.760
Si 0.147 0.396 0.748
Si 0.356 0.101 0.251
Si 0.646 0.112 0.244
Si 0.498 0.457 0.746
Si 0.647 0.896 0.748
Si 0.501 0.543 0.255
Si 0.856 0.601 0.251
Si 0.001 0.043 0.255
Si 0.146 0.612 0.244
Na 0.185 0.070 0.796
Na 0.006 0.595 0.761
Na 0.506 0.095 0.761
Na 0.805 0.929 0.214
Na 0.305 0.429 0.214
Na 0.747 0.748 0.489
Na 0.501 0.886 0.237
Na 0.251 0.750 0.999
Na 0.247 0.248 0.489
Na 0.751 0.250 0.999
Na 0.685 0.570 0.796
Na 0.001 0.386 0.237
In 0.104 0.244 0.065
In 0.604 0.744 0.065
Nb 0.892 0.250 0.436
Nb 0.606 0.250 0.561
Nb 0.895 0.754 0.930
Nb 0.106 0.750 0.561
Nb 0.395 0.254 0.930
Nb 0.392 0.750 0.436

No. 3
! Na6Nb3InSi6O24 GGA-PBE optimized geometry; values from VASP
! Space group: P1, No. 1
! Crystal system: triclinic
! Electronic total energy: -872.6 eV per cell
! Energy of formation: -115.1 eV/f.u.
! Density: 3.32 g/cm³
&SYSTEM
  ibrav = 0, nat = 120, ntyp = 5
/
ATOMIC_SPECIES
Na 22.99 Na.upf
Nb 92.91 Nb.upf
In 114.82 In.upf
Si 28.09 Si.upf
O 16.00 O.upf
CELL_PARAMETERS angstrom
9.143 0.000 0.000
-4.566 7.926 0.000
-0.001 -0.013 22.435
ATOMIC_POSITIONS crystal
Na 0.000 0.000 0.000
Na 0.000 0.000 0.492
Na 0.047 0.346 0.579
Na 0.296 0.953 0.578
Na 0.318 0.291 0.411
Na 0.321 0.035 0.912
Na 0.322 0.657 0.163
Na 0.342 0.668 0.666
Na 0.362 0.007 0.249
Na 0.642 0.641 0.249
Na 0.654 0.321 0.831
Na 0.657 0.703 0.578
Na 0.681 0.335 0.328
Na 0.708 0.027 0.410
Na 0.714 0.678 0.913
Na 0.964 0.289 0.912
Na 0.973 0.684 0.411
Na 0.997 0.636 0.753
Nb 0.000 0.002 0.144
Nb 0.000 0.002 0.648
Nb 0.330 0.664 0.312
Nb 0.334 0.668 0.024
Nb 0.337 0.667 0.810
Nb 0.663 0.330 0.688
Nb 0.666 0.334 0.477
Nb 0.667 0.335 0.980
Nb 0.670 0.334 0.183
In 0.000 0.003 0.851
In 0.333 0.667 0.519
In 0.999 0.002 0.346
Si 0.000 0.296 0.752
Si 0.040 0.375 0.419
Si 0.044 0.664 0.916
Si 0.294 0.296 0.249
Si 0.296 0.002 0.752
Si 0.335 0.961 0.418
Si 0.336 0.382 0.917
Si 0.372 0.042 0.082
Si 0.374 0.330 0.583
Si 0.618 0.956 0.917
Si 0.627 0.667 0.418
Si 0.668 0.628 0.083
Si 0.672 0.047 0.582
Si 0.705 0.707 0.751
Si 0.706 0.003 0.251
Si 0.954 0.627 0.584
Si 0.960 0.332 0.081
Si 0.999 0.705 0.250
O 0.010 0.186 0.411
O 0.021 0.192 0.694
O 0.024 0.830 0.917
O 0.030 0.839 0.196
O 0.132 0.637 0.855
O 0.141 0.647 0.584
O 0.143 0.443 0.481
O 0.144 0.502 0.078
O 0.147 0.505 0.363
O 0.166 0.191 0.194
O 0.166 0.682 0.973
O 0.166 0.977 0.695
O 0.170 0.196 0.917
O 0.171 0.485 0.753
O 0.176 0.698 0.255
O 0.176 0.992 0.411
O 0.187 0.027 0.088
O 0.190 0.155 0.588
O 0.227 0.035 0.814
O 0.234 0.186 0.310
O 0.298 0.823 0.753
O 0.300 0.856 0.479
O 0.316 0.486 0.254
O 0.318 0.482 0.975
O 0.356 0.496 0.584
O 0.356 0.857 0.078
O 0.360 0.862 0.360
O 0.361 0.503 0.859
O 0.466 0.304 0.522
O 0.472 0.163 0.024
O 0.485 0.162 0.741
O 0.487 0.326 0.240
O 0.489 0.140 0.141
O 0.495 0.861 0.858
O 0.498 0.348 0.638
O 0.499 0.645 0.078
O 0.502 0.643 0.360
O 0.506 0.862 0.584
O 0.512 0.371 0.920
O 0.515 0.145 0.420
O 0.517 0.827 0.254
O 0.519 0.838 0.975
O 0.520 0.694 0.754
O 0.554 0.701 0.479
O 0.629 0.143 0.920
O 0.630 0.486 0.420
O 0.646 0.510 0.141
O 0.657 0.153 0.638
O 0.667 0.159 0.241
O 0.684 0.519 0.740
O 0.690 0.529 0.024
O 0.696 0.164 0.522
O 0.801 0.035 0.314
O 0.803 0.974 0.916
O 0.807 0.831 0.693
O 0.810 0.972 0.197
O 0.817 0.825 0.412
O 0.820 0.773 0.810
O 0.834 0.517 0.239
O 0.834 0.530 0.524
O 0.839 0.813 0.089
O 0.841 0.330 0.742
O 0.842 0.310 0.022
O 0.847 0.037 0.587
O 0.854 0.351 0.137
O 0.856 0.511 0.641
O 0.857 0.373 0.420
O 0.857 0.489 0.921
O 0.952 0.766 0.311
O 0.965 0.193 0.813
O 0.965 0.813 0.587
O 0.972 0.161 0.089

No. 4
! NaInO3 GGA-PBE optimized geometry; values from VASP
! Space group: Pm-3m, No. 221
! Crystal system: cubic
! Electronic total energy: -22.8 eV per cell
! Energy of formation: -5.9 eV/f.u.
! Density: 4.05 g/cm³
&SYSTEM
  ibrav = 0, nat = 5, ntyp = 3
/
ATOMIC_SPECIES
Na 22.99 Na.upf
In 114.82 In.upf
O 16.00 O.upf
CELL_PARAMETERS angstrom
4.239 0.000 0.000
0.000 4.239 0.000
0.000 0.000 4.239
ATOMIC_POSITIONS crystal
Na 0.000 0.000 0.000
In 0.500 0.500 0.500
O 0.000 0.500 0.500
O 0.500 0.000 0.500
O 0.500 0.500 0.000

Q: Look up the density of the fourth one.
A: 4.05 g/cm³

Copy entry 2 word for word.
! Na6Nb3InSi6O24 GGA-PBE optimized geometry; values from VASP
! Electronic total energy: -581.8 eV per cell
! Energy of formation: -115.1 eV/f.u.
! Density: 3.33 g/cm³
&SYSTEM
  ibrav = 0, nat = 80, ntyp = 5
/
ATOMIC_SPECIES
O 16.00 O.upf
Si 28.09 Si.upf
Na 22.99 Na.upf
In 114.82 In.upf
Nb 92.91 Nb.upf
CELL_PARAMETERS angstrom
13.150 0.028 -8.829
-0.001 9.121 -0.030
-0.179 -0.031 9.129
ATOMIC_POSITIONS crystal
O 0.935 0.927 0.082
O 0.411 0.638 0.255
O 0.469 0.158 0.425
O 0.861 0.348 0.589
O 0.157 0.435 0.256
O 0.071 0.839 0.728
O 0.969 0.658 0.425
O 0.855 0.640 0.071
O 0.355 0.921 0.260
O 0.580 0.556 0.916
O 0.911 0.138 0.255
O 0.429 0.563 0.566
O 0.571 0.339 0.728
O 0.453 0.836 0.945
O 0.080 0.056 0.916
O 0.929 0.063 0.566
O 0.657 0.935 0.256
O 0.242 0.309 0.761
O 0.749 0.339 0.737
O 0.649 0.880 0.927
O 0.653 0.074 0.726
O 0.081 0.152 0.259
O 0.742 0.809 0.761
O 0.059 0.936 0.431
O 0.953 0.336 0.945
O 0.435 0.427 0.082
O 0.036 0.669 0.061
O 0.538 0.825 0.573
O 0.855 0.421 0.260
O 0.581 0.652 0.259
O 0.644 0.168 0.413
O 0.244 0.686 0.255
O 0.149 0.380 0.927
O 0.850 0.577 0.755
O 0.153 0.574 0.726
O 0.916 0.856 0.760
O 0.768 0.688 0.254
O 0.355 0.140 0.071
O 0.744 0.186 0.255
O 0.268 0.188 0.254
O 0.559 0.436 0.431
O 0.144 0.668 0.413
O 0.350 0.077 0.755
O 0.361 0.848 0.589
O 0.416 0.356 0.760
O 0.249 0.839 0.737
O 0.536 0.169 0.061
O 0.038 0.325 0.573
Si 0.354 0.895 0.760
Si 0.998 0.957 0.746
Si 0.854 0.395 0.760
Si 0.147 0.396 0.748
Si 0.356 0.101 0.251
Si 0.646 0.112 0.244
Si 0.498 0.457 0.746
Si 0.647 0.896 0.748
Si 0.501 0.543 0.255
Si 0.856 0.601 0.251
Si 0.001 0.043 0.255
Si 0.146 0.612 0.244
Na 0.185 0.070 0.796
Na 0.006 0.595 0.761
Na 0.506 0.095 0.761
Na 0.805 0.929 0.214
Na 0.305 0.429 0.214
Na 0.747 0.748 0.489
Na 0.501 0.886 0.237
Na 0.251 0.750 0.999
Na 0.247 0.248 0.489
Na 0.751 0.250 0.999
Na 0.685 0.570 0.796
Na 0.001 0.386 0.237
In 0.104 0.244 0.065
In 0.604 0.744 0.065
Nb 0.892 0.250 0.436
Nb 0.606 0.250 0.561
Nb 0.895 0.754 0.930
Nb 0.106 0.750 0.561
Nb 0.395 0.254 0.930
Nb 0.392 0.750 0.436

Q: Among the records above, which one has the highest electronic total energy?
A: NaInO3

Q: What is the electronic total energy in the second record?
A: -581.8 eV per cell